Below is an optimized crystal structure of NaSc2I6, with properties calculated at the PBE-GGA level.

The structure in POSCAR format:
```
NaSc2I6
1.0
4.059 5.141 4.227
-7.295 1.654 -2.195
-4.781 -5.737 11.567
Na Sc I
2 4 12
Direct
0.333 0.667 0.871
0.667 0.333 0.371
0.000 0.000 0.126
0.000 0.000 0.376
0.000 0.000 0.626
0.000 0.000 0.876
0.992 0.691 0.001
0.297 0.986 0.251
0.014 0.311 0.251
0.309 0.301 0.001
0.301 0.309 0.501
0.699 0.008 0.001
0.311 0.014 0.751
0.689 0.703 0.251
0.703 0.689 0.751
0.008 0.699 0.501
0.691 0.992 0.501
0.986 0.297 0.751
```

Values from the calculation:
energy of formation	-13.491	eV/f.u.

Below is an optimized crystal structure of Na3ScI6, with properties calculated at the PBE-GGA level.

The structure in POSCAR format:
```
Na3ScI6
1.0
1.970 4.965 6.541
-6.034 2.564 5.323
-0.277 -3.068 7.863
Na Sc I
3 1 6
Direct
0.750 0.750 0.750
0.250 0.250 0.250
0.500 0.500 0.500
0.000 0.000 0.000
0.759 0.241 0.241
0.241 0.241 0.759
0.241 0.759 0.759
0.241 0.759 0.241
0.759 0.241 0.759
0.759 0.759 0.241
```

Values from the calculation:
energy of formation	-13.196	eV/f.u.

Below is an optimized crystal structure of Na3YI6, with properties calculated at the PBE-GGA level.

The structure in POSCAR format:
```
Na3YI6
1.0
0.000 6.108 6.108
6.108 0.000 6.108
6.108 6.108 0.000
Na Y I
3 1 6
Direct
0.750 0.750 0.750
0.250 0.250 0.250
0.500 0.500 0.500
0.000 0.000 0.000
0.754 0.246 0.246
0.246 0.246 0.754
0.246 0.754 0.754
0.246 0.754 0.246
0.754 0.246 0.754
0.754 0.754 0.246
```

Values from the calculation:
energy of formation	-13.833	eV/f.u.

Below is an optimized crystal structure of NbI5, with properties calculated at the PBE-GGA level.

The structure in POSCAR format:
```
NbI5
1.0
6.591 0.000 0.000
0.000 11.060 0.000
0.000 5.142 14.389
Nb I
4 20
Direct
0.500 0.212 0.697
0.000 0.788 0.803
0.500 0.788 0.303
0.000 0.212 0.197
0.749 0.000 0.672
0.249 0.000 0.828
0.251 0.000 0.328
0.751 0.000 0.172
0.728 0.187 0.850
0.228 0.813 0.650
0.272 0.813 0.150
0.772 0.187 0.350
0.751 0.382 0.580
0.251 0.618 0.920
0.249 0.618 0.420
0.749 0.382 0.080
0.747 0.618 0.770
0.247 0.382 0.730
0.253 0.382 0.230
0.753 0.618 0.270
0.770 0.816 0.942
0.270 0.184 0.558
0.230 0.184 0.058
0.730 0.816 0.442
```

Values from the calculation:
excess energy over the best structure of this formula in the dataset	20	meV/atom
energy of formation	-4.365	eV/f.u.

Below is an optimized crystal structure of Nb6I11, with properties calculated at the PBE-GGA level.

The structure in POSCAR format:
```
Nb6I11
1.0
11.638 0.000 0.000
0.000 13.793 0.000
0.000 0.000 16.249
Nb I
24 44
Direct
0.596 0.980 0.102
0.096 0.520 0.898
0.096 0.020 0.602
0.596 0.480 0.398
0.404 0.020 0.898
0.904 0.480 0.102
0.904 0.980 0.398
0.404 0.520 0.602
0.627 0.083 0.952
0.127 0.417 0.048
0.127 0.917 0.452
0.627 0.583 0.548
0.373 0.917 0.048
0.873 0.583 0.952
0.873 0.083 0.548
0.373 0.417 0.452
0.427 0.119 0.049
0.927 0.381 0.951
0.927 0.881 0.549
0.427 0.619 0.451
0.573 0.881 0.951
0.073 0.619 0.049
0.073 0.119 0.451
0.573 0.381 0.549
0.649 0.184 0.109
0.149 0.316 0.891
0.149 0.816 0.609
0.649 0.684 0.391
0.351 0.816 0.891
0.851 0.684 0.109
0.851 0.184 0.391
0.351 0.316 0.609
0.537 0.775 0.103
0.037 0.725 0.897
0.037 0.225 0.603
0.537 0.275 0.397
0.463 0.225 0.897
0.963 0.275 0.103
0.963 0.775 0.397
0.463 0.725 0.603
0.399 0.018 0.205
0.899 0.482 0.795
0.899 0.982 0.705
0.399 0.518 0.295
0.601 0.982 0.795
0.101 0.518 0.205
0.101 0.018 0.295
0.601 0.482 0.705
0.799 0.944 0.003
0.299 0.556 0.997
0.299 0.056 0.503
0.799 0.444 0.497
0.201 0.056 0.997
0.701 0.444 0.003
0.701 0.944 0.497
0.201 0.556 0.503
0.318 0.298 0.119
0.818 0.202 0.881
0.818 0.702 0.619
0.318 0.798 0.381
0.682 0.702 0.881
0.182 0.798 0.119
0.182 0.298 0.381
0.682 0.202 0.619
0.750 0.940 0.250
0.250 0.560 0.750
0.250 0.060 0.750
0.750 0.440 0.250
```

Values from the calculation:
excess energy over the best structure of this formula in the dataset	10	meV/atom
energy of formation	-11.857	eV/f.u.

Below is an optimized crystal structure of NbI5, with properties calculated at the PBE-GGA level.

The structure in POSCAR format:
```
NbI5
1.0
7.672 0.050 -0.131
-3.678 6.831 -2.662
-0.022 -0.149 10.738
Nb I
2 10
Direct
0.100 0.215 0.221
0.900 0.785 0.779
0.880 0.368 0.149
0.779 0.827 0.043
0.297 0.017 0.251
0.703 0.983 0.749
0.221 0.173 0.957
0.120 0.632 0.851
0.426 0.562 0.325
0.923 0.174 0.429
0.574 0.438 0.675
0.077 0.826 0.571
```

Values from the calculation:
excess energy over the best structure of this formula in the dataset	0	meV/atom
energy of formation	-4.483	eV/f.u.

Below is an optimized crystal structure of Nb6I11, with properties calculated at the PBE-GGA level.

The structure in POSCAR format:
```
Nb6I11
1.0
-4.045 -10.313 -3.555
12.619 -5.514 1.637
-3.635 -3.809 15.184
Nb I
24 44
Direct
0.905 0.272 0.605
0.405 0.728 0.395
0.405 0.228 0.105
0.905 0.772 0.895
0.107 0.224 0.402
0.607 0.776 0.598
0.607 0.276 0.902
0.107 0.724 0.098
0.867 0.172 0.454
0.367 0.828 0.546
0.367 0.328 0.954
0.867 0.672 0.046
0.129 0.330 0.549
0.629 0.670 0.451
0.629 0.170 0.049
0.129 0.830 0.951
0.068 0.129 0.549
0.568 0.871 0.451
0.568 0.371 0.049
0.068 0.629 0.951
0.929 0.369 0.451
0.429 0.631 0.549
0.429 0.131 0.951
0.929 0.869 0.049
0.842 0.071 0.611
0.342 0.929 0.389
0.342 0.429 0.111
0.842 0.571 0.889
0.153 0.428 0.389
0.653 0.572 0.611
0.653 0.072 0.889
0.153 0.928 0.111
0.968 0.475 0.604
0.468 0.525 0.396
0.468 0.025 0.104
0.968 0.975 0.896
0.023 0.028 0.393
0.523 0.972 0.607
0.523 0.472 0.893
0.023 0.528 0.107
0.099 0.229 0.708
0.599 0.771 0.292
0.599 0.271 0.208
0.099 0.729 0.792
0.912 0.267 0.294
0.412 0.733 0.706
0.412 0.233 0.794
0.912 0.767 0.206
0.702 0.314 0.505
0.202 0.686 0.495
0.202 0.186 0.005
0.702 0.814 0.995
0.300 0.187 0.509
0.800 0.813 0.491
0.800 0.313 0.009
0.300 0.687 0.991
0.165 0.942 0.613
0.665 0.058 0.387
0.665 0.558 0.113
0.165 0.442 0.887
0.818 0.545 0.376
0.318 0.455 0.624
0.318 0.955 0.876
0.818 0.045 0.124
0.766 0.321 0.759
0.266 0.679 0.241
0.266 0.179 0.259
0.766 0.821 0.741
```

Values from the calculation:
excess energy over the best structure of this formula in the dataset	0	meV/atom
energy of formation	-12.021	eV/f.u.

Below is an optimized crystal structure of Nb3I, with properties calculated at the PBE-GGA level.

The structure in POSCAR format:
```
Nb3I
1.0
-0.341 6.051 -0.379
-1.852 -3.443 -4.647
-4.618 -0.138 1.942
Nb I
6 2
Direct
0.847 0.153 0.750
0.305 0.153 0.750
0.847 0.695 0.750
0.153 0.847 0.250
0.695 0.847 0.250
0.153 0.305 0.250
0.667 0.333 0.250
0.333 0.667 0.750
```

Values from the calculation:
energy of formation	1.966	eV/f.u.

Which value of energy of formation does entry 1 give? -13.491 eV/f.u.

The highest energy of formation belongs to which entry? Nb3I